VASP calculation (r²SCAN) on an optimized crystal structure of ZnBr2.

```
48
Lattice="10.8113 0.0000 -5.0110 -2.3200 10.5303 -5.0055 -0.2689 -0.3261 13.5881" Properties=species:S:1:pos:R:3 pbc="T T T"
Br 5.0227 6.3502 -2.6887
Br 6.8818 5.1764 0.6700
Br 6.3538 1.3022 6.2406
Zn 7.5279 9.6578 -0.8008
Zn 8.3516 0.6333 7.4146
Zn 6.8821 2.1496 -2.8195
Br 3.1997 3.8540 6.2603
Br 1.2677 1.0850 2.0921
Zn 7.1332 5.8115 -1.6524
Br -0.3771 2.4695 5.3863
Br 7.4764 9.3579 -5.5477
Br 8.7517 7.4890 4.6795
Zn 8.4574 7.4147 -6.5901
Br 8.3115 4.0928 -2.8944
Br 3.3213 3.6368 -0.3020
Br 4.9010 6.5674 3.8736
Br 1.6078 4.9486 -3.5907
Br 4.4800 2.2239 9.6998
Zn 0.6944 0.5464 4.3724
Br 3.1980 7.7346 0.6888
Zn 4.5057 5.8984 6.1568
Br 6.5979 1.3614 -0.5417
Br 3.7423 7.9802 -6.1283
Br 0.7459 0.8462 9.1193
Zn -0.1292 9.5709 -3.8431
Br 1.6245 8.8428 4.1133
Zn 1.3403 8.0546 6.3911
Br 5.5933 10.2928 -2.1099
Br 2.6290 -0.0887 5.6815
Zn 1.0891 4.3926 5.2240
Br 6.9547 9.1191 1.4795
Zn -0.2351 2.7894 10.1617
Zn 5.5219 3.1797 0.6198
Zn 7.0727 1.7593 3.9656
Br 8.6545 3.5776 3.8953
Zn 2.7005 7.0244 2.9517
Br 7.7559 -0.0096 9.6737
Br -0.5293 2.7151 -1.1079
Br -0.0892 6.1113 6.4659
Br -0.4321 6.6265 -0.3237
Br 8.5995 7.7346 -1.8147
Br 5.0244 2.4695 2.8827
Br 0.4665 10.2138 -6.1021
Br 1.8686 8.9019 -2.6690
Br 6.6145 5.2555 7.1623
Zn 3.7166 4.3057 -2.5852
Br 1.3406 5.0277 2.9016
Zn 1.1497 8.4449 -0.3941
```

Values from the calculation:
Crystal system = monoclinic
Formation energy = -1.042 eV per atom
Symmetry = C2/c, No. 15
Size of the total moment = 0.0 μB/f.u.
Electronic total energy = -616.9 eV/cell

=====

VASP calculation (r²SCAN) on an optimized crystal structure of ZrBr3.

```
8
Lattice="-1.7031 3.2743 5.8900 5.7124 -3.9520 -0.2526 3.3395 4.9409 -1.7811" Properties=species:S:1:pos:R:3 pbc="T T T"
Zr 0.0000 0.0000 0.0000
Br 2.6499 -0.0204 -0.5255
Zr 1.6697 2.4705 -0.8905
Br 3.7785 3.4904 0.4554
Br 3.5703 0.7729 3.4009
Br 6.4020 1.0094 -1.5081
Br 0.2937 2.2756 1.4262
Br 1.3426 5.9397 2.6827
```

Values from the calculation:
Crystal system = hexagonal
Formation energy = -1.619 eV per atom
Symmetry = P6_3/mcm, No. 193
Size of the total moment = 0.0 μB/f.u.
Electronic total energy = -138.0 eV/cell